1.
Crystalline BeAlIr2 at its relaxed geometry, computed with meta-GGA r2SCAN.

Calculated values
The value obtained for the formation energy from the elements is -330.4 kJ/mol of formula units. The crystal system is cubic.

Geometry as CIF:
```
data_BeAlIr2
_cell_length_a 5.809
_cell_length_b 5.809
_cell_length_c 5.809
_cell_angle_alpha 90.00
_cell_angle_beta 90.00
_cell_angle_gamma 90.00
_space_group_name_H-M_alt 'F m -3 m'
_space_group_IT_number 225
_space_group_name_Hall '-F 4 2 3'
loop_
_atom_site_label
_atom_site_type_symbol
_atom_site_fract_x
_atom_site_fract_y
_atom_site_fract_z
Be1 Be 0.000 0.000 0.000
Al1 Al 0.000 0.000 0.500
Ir1 Ir 0.250 0.250 0.250
```

***

2.
Crystalline MnBe4Al at its relaxed geometry, computed with meta-GGA r2SCAN.

Calculated values
The value obtained for the formation energy from the elements is -105.2 kJ/mol of formula units. The crystal system is cubic.

Geometry as CIF:
```
data_MnBe4Al
_cell_length_a 6.072
_cell_length_b 6.072
_cell_length_c 6.072
_cell_angle_alpha 90.00
_cell_angle_beta 90.00
_cell_angle_gamma 90.00
_space_group_name_H-M_alt 'F -4 3 m'
_space_group_IT_number 216
_space_group_name_Hall 'F -4 2 3'
loop_
_atom_site_label
_atom_site_type_symbol
_atom_site_fract_x
_atom_site_fract_y
_atom_site_fract_z
Mn1 Mn 0.000 0.000 0.000
Be1 Be 0.127 0.127 0.373
Al1 Al 0.250 0.250 0.750
```

***

3.
Crystalline Al3Bi5Cl12 at its relaxed geometry, computed with meta-GGA r2SCAN.

Calculated values
The value obtained for the formation energy from the elements is -2382.0 kJ/mol of formula units. The crystal system is trigonal.

Geometry as CIF:
```
data_Al3Bi5Cl12
_cell_length_a 11.8768
_cell_length_b 11.8768
_cell_length_c 30.1522
_cell_angle_alpha 90.00
_cell_angle_beta 90.00
_cell_angle_gamma 120.00
_space_group_name_H-M_alt 'R -3 c'
_space_group_IT_number 167
_space_group_name_Hall '-R 3 2"c'
loop_
_atom_site_label
_atom_site_type_symbol
_atom_site_fract_x
_atom_site_fract_y
_atom_site_fract_z
Al1 Al 0.0000 0.4745 0.2500
Bi1 Bi 0.0000 0.0000 0.1713
Bi2 Bi 0.0000 0.1591 0.7500
Cl1 Cl 0.0041 0.4242 0.6919
Cl2 Cl 0.0501 0.2159 0.9096
```

***

4.
Crystalline Sr6Al12Bi2O27 at its relaxed geometry, computed with meta-GGA r2SCAN.

Calculated values
The value obtained for the formation energy from the elements is -14314.8 kJ/mol of formula units. The crystal system is trigonal.

Geometry as CIF:
```
data_Sr6Al12Bi2O27
_cell_length_a 17.7690
_cell_length_b 17.7690
_cell_length_c 7.1409
_cell_angle_alpha 90.00
_cell_angle_beta 90.00
_cell_angle_gamma 120.00
_space_group_name_H-M_alt 'R 3'
_space_group_IT_number 146
_space_group_name_Hall 'R 3'
loop_
_atom_site_label
_atom_site_type_symbol
_atom_site_fract_x
_atom_site_fract_y
_atom_site_fract_z
Sr1 Sr 0.0829 0.5572 0.0000
Sr2 Sr 0.1869 0.4152 0.8180
Al1 Al 0.0195 0.7389 0.9652
Al2 Al 0.0728 0.3859 0.1935
Al3 Al 0.0771 0.1958 0.7793
Al4 Al 0.1993 0.1219 0.7045
Bi1 Bi 0.0000 0.0000 0.0484
Bi2 Bi 0.0000 0.0000 0.4717
O1 O 0.0036 0.0921 0.2572
O2 O 0.0114 0.2828 0.2912
O3 O 0.0273 0.8779 0.6246
O4 O 0.0578 0.4636 0.3103
O5 O 0.0654 0.6804 0.8685
O6 O 0.0851 0.5681 0.6299
O7 O 0.1291 0.7401 0.5129
O8 O 0.1470 0.0287 0.8510
O9 O 0.1816 0.4102 0.1932
```

***

5.
Crystalline AlBr3 at its relaxed geometry, computed with meta-GGA r2SCAN.

Calculated values
The value obtained for the formation energy from the elements is -486.2 kJ/mol of formula units. The crystal system is monoclinic.

Geometry as CIF:
```
data_AlBr3
_cell_length_a 7.577
_cell_length_b 7.195
_cell_length_c 10.421
_cell_angle_alpha 90.00
_cell_angle_beta 96.97
_cell_angle_gamma 90.00
_space_group_name_H-M_alt 'P 1 21/c 1'
_space_group_IT_number 14
_space_group_name_Hall '-P 2ybc'
loop_
_atom_site_label
_atom_site_type_symbol
_atom_site_fract_x
_atom_site_fract_y
_atom_site_fract_z
Al1 Al 0.197 0.092 0.051
Br1 Br 0.080 0.567 0.354
Br2 Br 0.250 0.109 0.510
Br3 Br 0.403 0.582 0.668
```

***

6.
Crystalline Al2CdBr8 at its relaxed geometry, computed with meta-GGA r2SCAN.

Calculated values
The value obtained for the formation energy from the elements is -1301.0 kJ/mol of formula units. The crystal system is monoclinic.

Geometry as CIF:
```
data_Al2CdBr8
_cell_length_a 7.496
_cell_length_b 7.108
_cell_length_c 13.714
_cell_angle_alpha 90.00
_cell_angle_beta 92.14
_cell_angle_gamma 90.00
_space_group_name_H-M_alt 'P 1 c 1'
_space_group_IT_number 7
_space_group_name_Hall 'P -2yc'
loop_
_atom_site_label
_atom_site_type_symbol
_atom_site_fract_x
_atom_site_fract_y
_atom_site_fract_z
Al1 Al 0.000 0.067 0.000
Al2 Al 0.414 0.423 0.803
Cd1 Cd 0.852 0.244 0.766
Br1 Br 0.013 0.073 0.345
Br2 Br 0.153 0.433 0.703
Br3 Br 0.262 0.064 0.085
Br4 Br 0.387 0.420 0.443
Br5 Br 0.509 0.112 0.821
Br6 Br 0.641 0.445 0.210
Br7 Br 0.773 0.088 0.581
Br8 Br 0.899 0.371 0.962
```

***

7.
Crystalline AlCuBr4 at its relaxed geometry, computed with meta-GGA r2SCAN.

Calculated values
The value obtained for the formation energy from the elements is -575.5 kJ/mol of formula units. The crystal system is tetragonal.

Geometry as CIF:
```
data_AlCuBr4
_cell_length_a 5.745
_cell_length_b 5.745
_cell_length_c 10.565
_cell_angle_alpha 90.00
_cell_angle_beta 90.00
_cell_angle_gamma 90.00
_space_group_name_H-M_alt 'P -4 2 c'
_space_group_IT_number 112
_space_group_name_Hall 'P -4 2c'
loop_
_atom_site_label
_atom_site_type_symbol
_atom_site_fract_x
_atom_site_fract_y
_atom_site_fract_z
Al1 Al 0.000 0.500 0.250
Cu1 Cu 0.000 0.000 0.000
Br1 Br 0.239 0.268 0.126
```

***

8.
Crystalline KAlBr4 at its relaxed geometry, computed with meta-GGA r2SCAN.

Calculated values
The value obtained for the formation energy from the elements is -924.8 kJ/mol of formula units. The crystal system is monoclinic.

Geometry as CIF:
```
data_KAlBr4
_cell_length_a 8.678
_cell_length_b 7.548
_cell_length_c 13.320
_cell_angle_alpha 90.00
_cell_angle_beta 105.18
_cell_angle_gamma 90.00
_space_group_name_H-M_alt 'P 1 2/c 1'
_space_group_IT_number 13
_space_group_name_Hall '-P 2yc'
loop_
_atom_site_label
_atom_site_type_symbol
_atom_site_fract_x
_atom_site_fract_y
_atom_site_fract_z
K1 K 0.000 0.103 0.250
K2 K 0.500 0.363 0.750
Al1 Al 0.289 0.215 0.049
Br1 Br 0.152 0.417 0.125
Br2 Br 0.209 0.246 0.870
Br3 Br 0.226 0.067 0.594
Br4 Br 0.442 0.272 0.394
```

***

9.
Crystalline KAl2Br7 at its relaxed geometry, computed with meta-GGA r2SCAN.

Calculated values
The value obtained for the formation energy from the elements is -1415.0 kJ/mol of formula units. The crystal system is monoclinic.

Geometry as CIF:
```
data_KAl2Br7
_cell_length_a 10.729
_cell_length_b 10.937
_cell_length_c 14.537
_cell_angle_alpha 90.00
_cell_angle_beta 123.66
_cell_angle_gamma 90.00
_space_group_name_H-M_alt 'P 1 21/c 1'
_space_group_IT_number 14
_space_group_name_Hall '-P 2ybc'
loop_
_atom_site_label
_atom_site_type_symbol
_atom_site_fract_x
_atom_site_fract_y
_atom_site_fract_z
K1 K 0.111 0.116 0.380
Al1 Al 0.172 0.718 0.453
Al2 Al 0.398 0.213 0.797
Br1 Br 0.024 0.083 0.121
Br2 Br 0.154 0.627 0.052
Br3 Br 0.208 0.710 0.823
Br4 Br 0.213 0.103 0.793
Br5 Br 0.379 0.225 0.633
Br6 Br 0.379 0.589 0.584
Br7 Br 0.434 0.104 0.382
```

***

10.
Crystalline La5Al4Br4 at its relaxed geometry, computed with meta-GGA r2SCAN.

Calculated values
The value obtained for the formation energy from the elements is -1601.8 kJ/mol of formula units. The crystal system is tetragonal.

Geometry as CIF:
```
data_La5Al4Br4
_cell_length_a 8.334
_cell_length_b 8.334
_cell_length_c 20.276
_cell_angle_alpha 90.00
_cell_angle_beta 90.00
_cell_angle_gamma 90.00
_space_group_name_H-M_alt 'I 4/m c m'
_space_group_IT_number 140
_space_group_name_Hall '-I 4 2c'
loop_
_atom_site_label
_atom_site_type_symbol
_atom_site_fract_x
_atom_site_fract_y
_atom_site_fract_z
La1 La 0.000 0.000 0.250
La2 La 0.161 0.339 0.115
Al1 Al 0.142 0.358 0.279
Br1 Br 0.000 0.000 0.093
Br2 Br 0.144 0.356 0.500
```

***

11.
Crystalline PrAl3Br12 at its relaxed geometry, computed with meta-GGA r2SCAN.

Calculated values
The value obtained for the formation energy from the elements is -2340.8 kJ/mol of formula units. The crystal system is monoclinic.

Geometry as CIF:
```
data_PrAl3Br12
_cell_length_a 18.378
_cell_length_b 10.610
_cell_length_c 18.615
_cell_angle_alpha 90.00
_cell_angle_beta 90.02
_cell_angle_gamma 90.00
_space_group_name_H-M_alt 'C 1 2 1'
_space_group_IT_number 5
_space_group_name_Hall 'C 2y'
loop_
_atom_site_label
_atom_site_type_symbol
_atom_site_fract_x
_atom_site_fract_y
_atom_site_fract_z
Pr1 Pr 0.000 0.000 0.000
Pr2 Pr 0.134 0.401 0.333
Al1 Al 0.000 0.364 0.500
Al2 Al 0.049 0.218 0.167
Al3 Al 0.151 0.751 0.055
Al4 Al 0.167 0.800 0.722
Al5 Al 0.182 0.752 0.389
Br1 Br 0.016 0.485 0.602
Br2 Br 0.036 0.428 0.197
Br3 Br 0.041 0.815 0.113
Br4 Br 0.062 0.133 0.863
Br5 Br 0.071 0.915 0.684
Br6 Br 0.098 0.241 0.470
Br7 Br 0.102 0.134 0.269
Br8 Br 0.110 0.871 0.459
Br9 Br 0.116 0.675 0.290
Br10 Br 0.117 0.183 0.064
Br11 Br 0.141 0.550 0.018
Br12 Br 0.143 0.632 0.792
Br13 Br 0.146 0.890 0.956
Br14 Br 0.206 0.554 0.447
Br15 Br 0.212 0.338 0.648
Br16 Br 0.238 0.738 0.623
Br17 Br 0.246 0.433 0.220
Br18 Br 0.247 0.799 0.125
```

***

12.
Crystalline RbAlBr4 at its relaxed geometry, computed with meta-GGA r2SCAN.

Calculated values
The value obtained for the formation energy from the elements is -931.5 kJ/mol of formula units. The crystal system is orthorhombic.

Geometry as CIF:
```
data_RbAlBr4
_cell_length_a 11.828
_cell_length_b 7.530
_cell_length_c 9.877
_cell_angle_alpha 90.00
_cell_angle_beta 90.00
_cell_angle_gamma 90.00
_space_group_name_H-M_alt 'P n m a'
_space_group_IT_number 62
_space_group_name_Hall '-P 2ac 2n'
loop_
_atom_site_label
_atom_site_type_symbol
_atom_site_fract_x
_atom_site_fract_y
_atom_site_fract_z
Rb1 Rb 0.181 0.250 0.165
Al1 Al 0.062 0.250 0.690
Br1 Br 0.081 0.002 0.827
Br2 Br 0.114 0.750 0.406
Br3 Br 0.207 0.250 0.535
```